Record 1
Dy2CoGe4: relaxed, r²SCAN.

Computed properties:
The value obtained for the calculated volume is 18.97 Å³ per atom. The calculation puts the magnetic moment at 0.0 μB/f.u. The calculated total energy comes out at -137.3 eV per formula unit. As for the space-group type: Amm2, No. 38.

a = 4.046 Å, b = 8.245 Å, c = 8.245 Å
α = 28.87°, β = 90.00°, γ = 90.00°
Fractional coordinates of all 7 atoms:
Dy: 0.000 0.000 0.000
Dy: 0.500 0.212 0.212
Co: 0.000 0.796 0.796
Ge: 0.000 0.364 0.364
Ge: 0.000 0.654 0.654
Ge: 0.500 0.553 0.553
Ge: 0.500 0.863 0.863



Record 2
Dy2Co2I: relaxed, r²SCAN.

Computed properties:
The value obtained for the calculated volume is 23.14 Å³ per atom. The calculation puts the magnetic moment at 2.8 μB/f.u. The calculated total energy comes out at -118.1 eV per formula unit. As for the space-group type: P6_3/mmc, No. 194.

a = 3.976 Å, b = 3.976 Å, c = 16.902 Å
α = 90.00°, β = 90.00°, γ = 120.00°
Fractional coordinates of all 10 atoms:
Dy: 0.000 0.000 0.104
Dy: 0.000 0.000 0.396
Dy: 0.000 0.000 0.604
Dy: 0.000 0.000 0.896
Co: 0.333 0.667 0.004
Co: 0.333 0.667 0.496
Co: 0.667 0.333 0.504
Co: 0.667 0.333 0.996
I: 0.333 0.667 0.750
I: 0.667 0.333 0.250



Record 3
DyIn5Co: relaxed, r²SCAN.

Computed properties:
The value obtained for the calculated volume is 21.95 Å³ per atom. The calculation puts the magnetic moment at 0.0 μB/f.u. The calculated total energy comes out at -160.3 eV per formula unit. As for the space-group type: P4/mmm, No. 123.

a = 4.544 Å, b = 4.544 Å, c = 7.440 Å
α = 90.00°, β = 90.00°, γ = 90.00°
Fractional coordinates of all 7 atoms:
Dy: 0.000 0.000 0.000
In: 0.000 0.500 0.307
In: 0.000 0.500 0.693
In: 0.500 0.000 0.307
In: 0.500 0.000 0.693
In: 0.500 0.500 0.000
Co: 0.000 0.000 0.500



Record 4
Dy3In4Co2: relaxed, r²SCAN.

Computed properties:
The value obtained for the calculated volume is 21.47 Å³ per atom. The calculation puts the magnetic moment at 1.0 μB/f.u. The calculated total energy comes out at -216.6 eV per formula unit. As for the space-group type: P-6, No. 174.

a = 7.837 Å, b = 7.837 Å, c = 3.633 Å
α = 90.00°, β = 90.00°, γ = 120.00°
Fractional coordinates of all 9 atoms:
Dy: 0.036 0.418 0.000
Dy: 0.382 0.964 0.000
Dy: 0.582 0.618 0.000
In: 0.000 0.747 0.500
In: 0.253 0.253 0.500
In: 0.667 0.333 0.500
In: 0.747 0.000 0.500
Co: 0.000 0.000 0.000
Co: 0.333 0.667 0.500



Record 5
Dy6InCo2: relaxed, r²SCAN.

Computed properties:
The value obtained for the calculated volume is 24.79 Å³ per atom. The calculation puts the magnetic moment at 0.0 μB/f.u. The calculated total energy comes out at -243.2 eV per formula unit. As for the space-group type: Immm, No. 71.

a = 8.343 Å, b = 8.343 Å, c = 8.343 Å
α = 112.05°, β = 108.98°, γ = 107.42°
Fractional coordinates of all 18 atoms:
Dy: 0.028 0.234 0.794
Dy: 0.184 0.286 0.470
Dy: 0.184 0.714 0.898
Dy: 0.326 0.014 0.688
Dy: 0.326 0.638 0.312
Dy: 0.441 0.234 0.206
Dy: 0.559 0.766 0.794
Dy: 0.674 0.362 0.688
Dy: 0.674 0.986 0.312
Dy: 0.816 0.286 0.102
Dy: 0.816 0.714 0.530
Dy: 0.972 0.766 0.206
In: 0.000 0.000 0.000
In: 0.500 0.500 0.000
Co: 0.112 0.612 0.500
Co: 0.340 0.000 0.340
Co: 0.660 0.000 0.660
Co: 0.888 0.388 0.500



Record 6
Dy4Mg3Co2: relaxed, r²SCAN.

Computed properties:
The value obtained for the calculated volume is 23.77 Å³ per atom. The calculation puts the magnetic moment at 0.9 μB/f.u. The calculated total energy comes out at -168.0 eV per formula unit. As for the space-group type: P2/m, No. 10.

a = 7.563 Å, b = 3.594 Å, c = 8.341 Å
α = 90.00°, β = 109.33°, γ = 90.00°
Fractional coordinates of all 9 atoms:
Dy: 0.095 0.000 0.223
Dy: 0.395 0.000 0.678
Dy: 0.605 0.000 0.322
Dy: 0.905 0.000 0.777
Mg: 0.000 0.500 0.500
Mg: 0.293 0.500 0.999
Mg: 0.707 0.500 0.001
Co: 0.352 0.500 0.397
Co: 0.648 0.500 0.603



Record 7
Dy4MgCo: relaxed, r²SCAN.

Computed properties:
The value obtained for the calculated volume is 25.52 Å³ per atom. The calculation puts the magnetic moment at 0.4 μB/f.u. The calculated total energy comes out at -145.9 eV per formula unit. As for the space-group type: F-43m, No. 216.

a = 9.532 Å, b = 9.532 Å, c = 9.532 Å
α = 60.00°, β = 60.00°, γ = 60.00°
Fractional coordinates of all 24 atoms:
Dy: 0.186 0.186 0.814
Dy: 0.186 0.814 0.186
Dy: 0.186 0.814 0.814
Dy: 0.344 0.344 0.344
Dy: 0.344 0.344 0.969
Dy: 0.344 0.969 0.344
Dy: 0.562 0.562 0.938
Dy: 0.562 0.938 0.562
Dy: 0.562 0.938 0.938
Dy: 0.814 0.186 0.186
Dy: 0.814 0.186 0.814
Dy: 0.814 0.814 0.186
Dy: 0.938 0.562 0.562
Dy: 0.938 0.562 0.938
Dy: 0.938 0.938 0.562
Dy: 0.969 0.344 0.344
Mg: 0.264 0.579 0.579
Mg: 0.579 0.264 0.579
Mg: 0.579 0.579 0.264
Mg: 0.579 0.579 0.579
Co: 0.141 0.141 0.141
Co: 0.141 0.141 0.578
Co: 0.141 0.578 0.141
Co: 0.578 0.141 0.141



Record 8
DyCoNi: relaxed, r²SCAN.

Computed properties:
The value obtained for the calculated volume is 15.01 Å³ per atom. The calculation puts the magnetic moment at 1.0 μB/f.u. The calculated total energy comes out at -58.0 eV per formula unit. As for the space-group type: Imma, No. 74.

a = 5.077 Å, b = 5.077 Å, c = 5.077 Å
α = 123.27°, β = 119.92°, γ = 87.28°
Fractional coordinates of all 6 atoms:
Dy: 0.371 0.121 0.250
Dy: 0.629 0.879 0.750
Co: 0.000 0.000 0.500
Co: 0.000 0.500 0.000
Ni: 0.000 0.500 0.500
Ni: 0.500 0.500 0.000



- What is the calculated total energy in the fifth record?
  -243.2 eV per formula unit



- Which of these has the lowest calculated total energy?
  Dy6InCo2



- Look up the calculated total energy of the second one.
  -118.1 eV per formula unit